[1]
! K2Cu2Mo3O12 PBE+U relaxed; values from VASP
! calculated density = 3.630 g/cm3
! space group = P2_1/c, No. 14
! total DFT energy (no corrections) = -6.269 eV/atom
! DFT formation energy = -176 kJ per mole of atoms
! energy with MP2020 corrections = -7.208 eV per atom
&SYSTEM
  ibrav = 0, nat = 76, ntyp = 4
/
ATOMIC_SPECIES
O 16.00 O.upf
Mo 95.94 Mo.upf
K 39.10 K.upf
Cu 63.55 Cu.upf
CELL_PARAMETERS angstrom
-0.7776 7.0664 -5.6868
-5.5280 -3.1228 -3.1245
-17.2507 5.8171 9.5871
ATOMIC_POSITIONS crystal
O 0.6579 0.4441 0.8569
O 0.3264 0.1676 0.6980
O 0.3421 0.5559 0.1431
Mo 0.3293 0.9474 0.7742
K 0.1176 0.4017 0.7873
O 0.4365 0.1996 0.9574
O 0.8967 0.1706 0.8694
O 0.1008 0.9985 0.6112
O 0.1033 0.8294 0.1306
O 0.7487 0.1555 0.4939
O 0.1922 0.7810 0.7664
Mo 0.2222 0.8031 0.5978
Mo 0.3388 0.4153 0.9656
O 0.7182 0.9795 0.1519
O 0.2818 0.0205 0.8481
O 0.8421 0.4441 0.3569
Cu 0.5892 0.0627 0.0600
O 0.3992 0.9985 0.1112
K 0.4685 0.8017 0.4048
Cu 0.6427 0.7323 0.8654
Mo 0.7778 0.1969 0.4022
K 0.0315 0.8017 0.9048
Mo 0.2778 0.8031 0.0978
O 0.2429 0.3632 0.0472
O 0.9928 0.8190 0.2869
Cu 0.0892 0.9373 0.4400
O 0.9365 0.8004 0.5426
O 0.3043 0.4643 0.4059
O 0.5635 0.8004 0.0426
O 0.1957 0.4643 0.9059
O 0.0072 0.1810 0.7131
Mo 0.8388 0.5847 0.5344
Mo 0.8293 0.0526 0.7258
O 0.0635 0.1996 0.4574
O 0.6008 0.0015 0.8888
O 0.1579 0.5559 0.6431
O 0.5072 0.8190 0.7869
O 0.1736 0.1676 0.1980
Cu 0.3573 0.2677 0.1346
O 0.4527 0.6468 0.9406
O 0.6736 0.8324 0.3020
K 0.6176 0.5983 0.7127
O 0.0473 0.6468 0.4406
Mo 0.6707 0.0526 0.2258
O 0.7513 0.1555 0.9939
Mo 0.7222 0.1969 0.9022
O 0.7571 0.6368 0.9528
K 0.3824 0.4017 0.2873
O 0.8043 0.5357 0.0941
K 0.9685 0.1983 0.0952
O 0.2513 0.8445 0.5061
K 0.5315 0.1983 0.5952
O 0.6957 0.5357 0.5941
O 0.3078 0.7810 0.2664
Mo 0.1612 0.4153 0.4656
Mo 0.1707 0.9474 0.2742
O 0.7818 0.9795 0.6519
Cu 0.4108 0.9373 0.9400
O 0.6033 0.1706 0.3694
O 0.2571 0.3632 0.5472
Mo 0.6612 0.5847 0.0344
O 0.2487 0.8445 0.0061
O 0.2182 0.0205 0.3481
O 0.9527 0.3532 0.5594
K 0.8824 0.5983 0.2127
Cu 0.8573 0.7323 0.3654
Cu 0.1427 0.2677 0.6346
O 0.5473 0.3532 0.0594
O 0.8264 0.8324 0.8020
O 0.3967 0.8294 0.6306
O 0.4928 0.1810 0.2131
O 0.6922 0.2190 0.7336
O 0.8078 0.2190 0.2336
Cu 0.9108 0.0627 0.5600
O 0.8992 0.0015 0.3888
O 0.7429 0.6368 0.4528

[2]
! K2Cu3Mo4O16 PBE+U relaxed; values from VASP
! calculated density = 3.821 g/cm3
! space group = P2_1/c, No. 14
! total DFT energy (no corrections) = -6.304 eV/atom
! DFT formation energy = -171 kJ per mole of atoms
! energy with MP2020 corrections = -7.256 eV per atom
&SYSTEM
  ibrav = 0, nat = 100, ntyp = 4
/
ATOMIC_SPECIES
O 16.00 O.upf
Mo 95.94 Mo.upf
Cu 63.55 Cu.upf
K 39.10 K.upf
CELL_PARAMETERS angstrom
14.9408 0.0000 0.0000
0.0000 5.2150 0.0000
0.0000 1.7357 20.2723
ATOMIC_POSITIONS crystal
O 0.9836 0.8909 0.4388
Mo 0.2718 0.7819 0.6610
Mo 0.8974 0.7152 0.2734
Cu 0.0648 0.7938 0.6059
O 0.3686 0.4865 0.1450
Mo 0.6786 0.8048 0.5653
O 0.8705 0.3931 0.4896
O 0.2584 0.1445 0.0014
O 0.8252 0.0131 0.3749
K 0.3735 0.2515 0.7830
O 0.6877 0.4408 0.3921
K 0.6265 0.7485 0.2170
O 0.3705 0.6069 0.0104
O 0.2477 0.6119 0.2429
Cu 0.7044 0.2420 0.6775
K 0.1265 0.2515 0.2830
Cu 0.5648 0.2062 0.8941
O 0.7243 0.5719 0.6266
O 0.9417 0.5046 0.2184
O 0.0467 0.3991 0.3936
Mo 0.8214 0.8048 0.0653
O 0.6295 0.3931 0.9896
O 0.1295 0.6069 0.5104
O 0.4866 0.0846 0.2089
Mo 0.3214 0.1952 0.4347
O 0.1748 0.9869 0.6251
O 0.9220 0.6894 0.0335
O 0.5134 0.9154 0.7911
O 0.8412 0.1387 0.6234
O 0.5164 0.8909 0.9388
Mo 0.7282 0.2181 0.3390
O 0.1314 0.4865 0.6450
O 0.6314 0.5135 0.8550
Cu 0.2956 0.7580 0.3225
Mo 0.7718 0.2181 0.8390
O 0.7757 0.5719 0.1266
O 0.5780 0.6894 0.5335
O 0.4417 0.4954 0.2816
Mo 0.9187 0.3077 0.5709
O 0.6397 0.0026 0.3303
O 0.6748 0.0131 0.8749
O 0.9533 0.6009 0.6064
O 0.4533 0.3991 0.8936
Cu 0.3239 0.3118 0.0670
O 0.6588 0.1387 0.1234
O 0.7416 0.8555 0.9986
Mo 0.4187 0.6923 0.9291
O 0.7523 0.3881 0.7571
K 0.4766 0.3089 0.5955
O 0.9866 0.9154 0.2911
O 0.3603 0.9974 0.6697
Mo 0.1786 0.1952 0.9347
O 0.3524 0.8993 0.3976
O 0.3412 0.8613 0.8766
O 0.7477 0.3881 0.2571
O 0.8603 0.0026 0.8303
O 0.1476 0.8993 0.8976
O 0.3252 0.9869 0.1251
O 0.5583 0.5046 0.7184
Cu 0.1761 0.3118 0.5670
Cu 0.2044 0.7580 0.8225
K 0.5234 0.6911 0.4045
O 0.8686 0.5135 0.3550
Mo 0.5813 0.3077 0.0709
O 0.2523 0.6119 0.7429
O 0.1588 0.8613 0.3766
Mo 0.6026 0.7152 0.7734
K 0.0234 0.3089 0.0955
O 0.1877 0.5592 0.1079
Mo 0.0813 0.6923 0.4291
Cu 0.8239 0.6882 0.4330
O 0.1397 0.9974 0.1697
O 0.0780 0.3106 0.9665
O 0.8123 0.4408 0.8921
O 0.2416 0.1445 0.5014
Mo 0.3974 0.2848 0.2266
K 0.8735 0.7485 0.7170
O 0.0583 0.4954 0.7816
O 0.8113 0.9218 0.2334
O 0.0134 0.0846 0.7089
O 0.6887 0.9218 0.7334
O 0.3113 0.0782 0.2666
Mo 0.2282 0.7819 0.1610
O 0.4836 0.1091 0.0612
Mo 0.1026 0.2848 0.7266
O 0.3123 0.5592 0.6079
O 0.7584 0.8555 0.4986
K 0.9766 0.6911 0.9045
Cu 0.9352 0.2062 0.3941
Cu 0.7956 0.2420 0.1775
Cu 0.6761 0.6882 0.9330
Cu 0.4352 0.7938 0.1059
O 0.1887 0.0782 0.7666
O 0.6476 0.1007 0.6024
O 0.5467 0.6009 0.1064
O 0.4220 0.3106 0.4665
O 0.2243 0.4281 0.8734
O 0.0164 0.1091 0.5612
O 0.8524 0.1007 0.1024
O 0.2757 0.4281 0.3734

[3]
! KTb2CuMo4O16 PBE+U relaxed; values from VASP
! calculated density = 5.270 g/cm3
! space group = C2/c, No. 15
! total DFT energy (no corrections) = -7.112 eV/atom
! DFT formation energy = -231 kJ per mole of atoms
! energy with MP2020 corrections = -8.103 eV per atom
&SYSTEM
  ibrav = 0, nat = 48, ntyp = 5
/
ATOMIC_SPECIES
O 16.00 O.upf
Mo 95.94 Mo.upf
Cu 63.55 Cu.upf
Tb 158.93 Tb.upf
K 39.10 K.upf
CELL_PARAMETERS angstrom
6.3740 2.6585 0.0000
-6.3740 2.6585 0.0000
0.0000 1.0635 19.7141
ATOMIC_POSITIONS crystal
O 0.6976 0.5164 0.6717
Mo 0.7492 0.2671 0.3530
O 0.5164 0.6976 0.1717
Cu 0.6910 0.3090 0.7500
Mo 0.7329 0.2508 0.1470
Mo 0.4520 0.5746 0.4088
O 0.6755 0.7712 0.8991
O 0.7835 0.7446 0.5370
O 0.7446 0.7835 0.0370
O 0.7333 0.0129 0.3274
O 0.9871 0.2667 0.1726
O 0.2554 0.2165 0.9630
O 0.8300 0.4921 0.9576
Mo 0.5746 0.4520 0.9088
O 0.2667 0.9871 0.6726
Tb 0.8541 0.1486 0.5323
O 0.3245 0.2288 0.1009
Tb 0.1459 0.8514 0.4677
O 0.5297 0.9348 0.7869
Mo 0.2671 0.7492 0.8530
Cu 0.3090 0.6910 0.2500
O 0.1700 0.5079 0.0424
O 0.4148 0.9380 0.9334
O 0.9028 0.6021 0.1317
Tb 0.8514 0.1459 0.9677
O 0.4703 0.0652 0.2131
O 0.5079 0.1700 0.5424
O 0.4836 0.3024 0.8283
O 0.9348 0.5297 0.2869
O 0.3979 0.0972 0.3683
Mo 0.2508 0.7329 0.6470
O 0.2288 0.3245 0.6009
O 0.2165 0.2554 0.4630
K 0.9713 0.0287 0.7500
O 0.0972 0.3979 0.8683
O 0.0129 0.7333 0.8274
O 0.5852 0.0620 0.0666
O 0.6021 0.9028 0.6317
O 0.7712 0.6755 0.3991
O 0.4921 0.8300 0.4576
O 0.0620 0.5852 0.5666
O 0.9380 0.4148 0.4334
O 0.0652 0.4703 0.7131
K 0.0287 0.9713 0.2500
Mo 0.4254 0.5480 0.0912
O 0.3024 0.4836 0.3283
Tb 0.1486 0.8541 0.0323
Mo 0.5480 0.4254 0.5913

> Among the records above, which one has the lowest energy with MP2020 corrections?

KTb2CuMo4O16

> The highest energy with MP2020 corrections belongs to which entry?

K2Cu2Mo3O12

> The highest energy with MP2020 corrections belongs to which entry?

K2Cu2Mo3O12